Entry 1:
{"formula": "Nb4NiC2S4", "functional": "PBE", "state": "relaxed", "cell": [[5.736, 0.000, 0.000], [0.000, 3.320, 0.000], [-1.836, 0.000, 8.460]], "species": ["Nb", "Nb", "Nb", "Nb", "Ni", "C", "C", "S", "S", "S", "S"], "frac_coords": [[0.115, 0.000, 0.363], [0.369, 0.500, 0.637], [0.631, 0.500, 0.363], [0.885, 0.000, 0.637], [0.000, 0.000, 0.000], [0.000, 0.500, 0.500], [0.500, 0.000, 0.500], [0.224, 0.500, 0.163], [0.277, 0.000, 0.835], [0.723, 0.000, 0.165], [0.776, 0.500, 0.837]], "vol_a3_per_cell": 161.07, "spacegroup": "No. 10", "dft_energy_ev_per_atom": -8.1390, "rho_g_cm3": 6.0, "magmom_total_mub_per_cell": 0.646}


Entry 2:
{"formula": "DyMnGa", "functional": "PBE", "state": "relaxed", "cell": [[7.118, 0.000, 0.000], [-3.559, 6.164, 0.000], [0.000, 0.000, 4.124]], "species": ["Dy", "Dy", "Dy", "Mn", "Mn", "Mn", "Ga", "Ga", "Ga"], "frac_coords": [[0.000, 0.413, 0.000], [0.413, 0.000, 0.000], [0.587, 0.587, 0.000], [0.000, 0.762, 0.500], [0.238, 0.238, 0.500], [0.762, 0.000, 0.500], [0.000, 0.000, 0.000], [0.333, 0.667, 0.500], [0.667, 0.333, 0.500]], "vol_a3_per_cell": 180.94, "spacegroup": "No. 189", "dft_energy_ev_per_atom": -5.8707, "rho_g_cm3": 7.9, "magmom_total_mub_per_cell": 9.694}